# 1
The following is a DFT calculation (GGA+U) of an optimized crystal structure of CoO2.

Results
electronic total energy: -66.12 eV/cell
magnetic moment: 1.000 μB/f.u.

Structure (POSCAR):
```
CoO2
1.0
1.453 -4.655 0.000
1.453 4.655 0.000
0.000 0.000 9.320
Co O
4 8
Direct
0.135 0.865 0.573 Co
0.135 0.865 0.927 Co
0.865 0.135 0.073 Co
0.865 0.135 0.427 Co
0.067 0.933 0.750 O
0.236 0.764 0.103 O
0.236 0.764 0.397 O
0.500 0.500 0.000 O
0.500 0.500 0.500 O
0.764 0.236 0.603 O
0.764 0.236 0.897 O
0.933 0.067 0.250 O
```

# 2
The following is a DFT calculation (GGA+U) of an optimized crystal structure of CoO2.

Results
electronic total energy: -34.43 eV/cell

Structure (POSCAR):
```
CoO2
1.0
-0.643 -0.227 -2.737
-5.668 -8.251 2.074
-4.352 2.181 0.840
O Co
4 2
Direct
0.995 0.900 0.368 O
0.499 0.087 0.139 O
0.495 0.900 0.868 O
0.999 0.087 0.638 O
0.997 0.993 0.003 Co
0.497 0.993 0.503 Co
```

| no. | energy relative to the elements (eV/atom) |
| --- | --- |
| 1 | -0.85 |
| 2 | -1.07 |